# GGA+U MgFe6O7F5, relaxed
data_MgFe6O7F5
_cell_length_a 5.0931
_cell_length_b 5.1191
_cell_length_c 8.9575
_cell_angle_alpha 90.64
_cell_angle_beta 89.60
_cell_angle_gamma 99.47
_symmetry_space_group_name_H-M 'P 1'
_symmetry_Int_Tables_number 1
loop_
_symmetry_equiv_pos_as_xyz
'x,y,z'
loop_
_atom_site_label
_atom_site_fract_x
_atom_site_fract_y
_atom_site_fract_z
_atom_site_occupancy
Fe1 0.5619 0.4822 0.1690 1
Fe2 0.0094 0.9805 0.9828 1
O1 0.6405 0.7456 0.3254 1
O2 0.1751 0.7709 0.5078 1
Fe3 0.0593 0.9892 0.6621 1
F1 0.8334 0.2283 0.1625 1
F2 0.8571 0.1911 0.5254 1
Mg1 0.4888 0.9814 0.1788 1
O3 0.3574 0.2619 0.3235 1
Fe4 0.4204 0.5362 0.8447 1
O4 0.3440 0.2621 0.0136 1
Fe5 0.0050 0.9907 0.3570 1
O5 0.1634 0.7810 0.8362 1
F3 0.1329 0.7838 0.1594 1
F4 0.6732 0.7238 0.6733 1
O6 0.6451 0.7504 0.0135 1
O7 0.3357 0.3089 0.6718 1
F5 0.8702 0.1827 0.8336 1
Fe6 0.4271 0.5354 0.4953 1
# Calculated formation energy = -1.995 eV/atom
# Final energy = -5.99 eV/atom


# GGA+U MgFe4O4F4, relaxed
data_MgFe4O4F4
_cell_length_a 5.2822
_cell_length_b 5.2481
_cell_length_c 6.1236
_cell_angle_alpha 89.42
_cell_angle_beta 105.07
_cell_angle_gamma 82.14
_symmetry_space_group_name_H-M 'P 1'
_symmetry_Int_Tables_number 1
loop_
_symmetry_equiv_pos_as_xyz
'x,y,z'
loop_
_atom_site_label
_atom_site_fract_x
_atom_site_fract_y
_atom_site_fract_z
_atom_site_occupancy
O1 0.2509 0.8848 0.2085 1
F1 0.6998 0.1581 0.8541 1
F2 0.7353 0.6310 0.6059 1
O2 0.6832 0.6597 0.0389 1
Mg1 0.4728 0.0167 0.0231 1
O3 0.3027 0.3703 0.4811 1
F3 0.2658 0.3797 0.9648 1
Fe1 0.9714 0.7815 0.9169 1
Fe2 0.4734 0.5247 0.7590 1
O4 0.2281 0.8686 0.7253 1
Fe3 0.5138 0.5284 0.2836 1
F4 0.7566 0.1444 0.3131 1
Fe4 0.1460 0.0660 0.4404 1
# Calculated formation energy = -2.208 eV/atom
# Final energy = -6.00 eV/atom


# GGA+U MgFe10O9F11, relaxed
data_MgFe10O9F11
_cell_length_a 4.9085
_cell_length_b 4.9038
_cell_length_c 15.3008
_cell_angle_alpha 90.23
_cell_angle_beta 89.95
_cell_angle_gamma 95.60
_symmetry_space_group_name_H-M 'P 1'
_symmetry_Int_Tables_number 1
loop_
_symmetry_equiv_pos_as_xyz
'x,y,z'
loop_
_atom_site_label
_atom_site_fract_x
_atom_site_fract_y
_atom_site_fract_z
_atom_site_occupancy
Fe1 0.5052 0.4681 0.9073 1
F1 0.1462 0.7729 0.3047 1
Fe2 0.9949 0.9905 0.4101 1
F2 0.1748 0.7656 0.0890 1
F3 0.8149 0.2055 0.7072 1
O1 0.3304 0.3223 0.5959 1
O2 0.3321 0.2410 0.3972 1
Fe3 0.0309 0.0178 0.6053 1
F4 0.8262 0.2312 0.4969 1
F5 0.7038 0.7115 0.7997 1
O3 0.6501 0.7426 0.1983 1
O4 0.2017 0.8078 0.7038 1
F6 0.8449 0.2124 0.3060 1
Fe4 0.0403 0.0127 0.7913 1
F7 0.1785 0.8123 0.8969 1
O5 0.3184 0.3194 0.8030 1
Fe5 0.9954 0.9975 0.1862 1
O6 0.6620 0.7429 0.3999 1
F8 0.8139 0.1906 0.8970 1
Fe6 0.9913 0.9903 0.9972 1
F9 0.8125 0.2220 0.0883 1
F10 0.1779 0.7674 0.4965 1
Fe7 0.4469 0.5295 0.6999 1
Fe8 0.4941 0.4834 0.4925 1
Mg1 0.4935 0.9965 0.2903 1
Fe9 0.4935 0.4967 0.1008 1
F11 0.6965 0.7208 0.5972 1
O7 0.3022 0.2808 0.0010 1
Fe10 0.4998 0.4969 0.2983 1
O8 0.6871 0.6992 0.9977 1
O9 0.3402 0.2518 0.1988 1
# Calculated formation energy = -2.087 eV/atom
# Final energy = -5.90 eV/atom


# GGA+U MgFe6O10F2, relaxed
data_MgFe6O10F2
_cell_length_a 7.1497
_cell_length_b 5.7005
_cell_length_c 5.9645
_cell_angle_alpha 82.60
_cell_angle_beta 71.79
_cell_angle_gamma 73.25
_symmetry_space_group_name_H-M 'P 1'
_symmetry_Int_Tables_number 1
loop_
_symmetry_equiv_pos_as_xyz
'x,y,z'
loop_
_atom_site_label
_atom_site_fract_x
_atom_site_fract_y
_atom_site_fract_z
_atom_site_occupancy
F1 0.6531 0.6306 0.0186 1
O1 0.6165 0.5808 0.5743 1
O2 0.3649 0.4427 0.4457 1
F2 0.3647 0.3396 0.0020 1
O3 0.0124 0.6855 0.2925 1
Fe1 0.1502 0.3334 0.3559 1
Fe2 0.3277 0.7358 0.6016 1
Mg1 0.6748 0.3414 0.8487 1
O4 0.9573 0.3768 0.6682 1
Fe3 0.4822 0.9695 0.0242 1
O5 0.9563 0.2146 0.2432 1
Fe4 0.0037 0.9451 0.0502 1
O6 0.6603 0.0480 0.6746 1
O7 0.7046 0.0855 0.1112 1
Fe5 0.8494 0.7222 0.6131 1
O8 0.3261 0.9901 0.3506 1
Fe6 0.6545 0.2789 0.3920 1
O9 0.0341 0.7968 0.7596 1
O10 0.2907 0.8997 0.8904 1
# Calculated formation energy = -1.759 eV/atom
# Final energy = -6.20 eV/atom


# GGA+U MgFe6O10F2, relaxed
data_MgFe6O10F2
_cell_length_a 8.0203
_cell_length_b 5.7692
_cell_length_c 5.9155
_cell_angle_alpha 67.04
_cell_angle_beta 63.49
_cell_angle_gamma 65.96
_symmetry_space_group_name_H-M 'P 1'
_symmetry_Int_Tables_number 1
loop_
_symmetry_equiv_pos_as_xyz
'x,y,z'
loop_
_atom_site_label
_atom_site_fract_x
_atom_site_fract_y
_atom_site_fract_z
_atom_site_occupancy
Fe1 0.3468 0.6509 0.6683 1
O1 0.9867 0.2736 0.6594 1
Fe2 0.6627 0.3382 0.3216 1
O2 0.6234 0.5785 0.5225 1
O3 0.3631 0.3653 0.9806 1
O4 0.0731 0.7479 0.8073 1
F1 0.3061 0.9259 0.8776 1
Fe3 0.2191 0.3654 0.3490 1
O5 0.6990 0.0179 0.6308 1
F2 0.7038 0.0636 0.1130 1
O6 0.0226 0.7170 0.3301 1
Fe4 0.5057 0.9949 0.9959 1
Fe5 0.0058 0.9957 0.9942 1
Mg1 0.0049 0.9950 0.4947 1
O7 0.3108 0.9719 0.3597 1
Fe6 0.7898 0.6254 0.6406 1
O8 0.9366 0.2427 0.1825 1
O9 0.3860 0.4107 0.4675 1
O10 0.6464 0.6243 0.0095 1
# Calculated formation energy = -1.770 eV/atom
# Final energy = -6.21 eV/atom


# GGA+U MgFe6O10F2, relaxed
data_MgFe6O10F2
_cell_length_a 5.1048
_cell_length_b 7.5968
_cell_length_c 5.7067
_cell_angle_alpha 98.41
_cell_angle_beta 95.74
_cell_angle_gamma 87.00
_symmetry_space_group_name_H-M 'P 1'
_symmetry_Int_Tables_number 1
loop_
_symmetry_equiv_pos_as_xyz
'x,y,z'
loop_
_atom_site_label
_atom_site_fract_x
_atom_site_fract_y
_atom_site_fract_z
_atom_site_occupancy
Mg1 0.0025 0.5001 0.9929 1
Fe1 0.9844 0.6921 0.6354 1
O1 0.3062 0.2275 0.5622 1
O2 0.1608 0.2528 0.0563 1
F1 0.8214 0.0970 0.2941 1
O3 0.3153 0.9153 0.2069 1
Fe2 0.0021 0.3196 0.3776 1
O4 0.3292 0.5626 0.8668 1
O5 0.6776 0.7806 0.4567 1
Fe3 0.5432 0.7037 0.1223 1
O6 0.6932 0.4404 0.1447 1
Fe4 0.4716 0.3152 0.8843 1
O7 0.8496 0.7595 0.9634 1
O8 0.8633 0.4530 0.6425 1
F2 0.1608 0.5701 0.3418 1
Fe5 0.0148 0.0045 0.9912 1
Fe6 0.4580 0.9885 0.5296 1
O9 0.1839 0.9017 0.7050 1
O10 0.6760 0.0961 0.8095 1
# Calculated formation energy = -1.742 eV/atom
# Final energy = -6.18 eV/atom


# GGA+U MgFe6O7F5, relaxed
data_MgFe6O7F5
_cell_length_a 5.1764
_cell_length_b 5.2273
_cell_length_c 8.8762
_cell_angle_alpha 87.58
_cell_angle_beta 92.17
_cell_angle_gamma 102.03
_symmetry_space_group_name_H-M 'P 1'
_symmetry_Int_Tables_number 1
loop_
_symmetry_equiv_pos_as_xyz
'x,y,z'
loop_
_atom_site_label
_atom_site_fract_x
_atom_site_fract_y
_atom_site_fract_z
_atom_site_occupancy
Fe1 0.9608 0.0129 0.0194 1
Fe2 0.4542 0.5289 0.8471 1
O1 0.2246 0.8427 0.5046 1
O2 0.2962 0.2795 0.0018 1
O3 0.8113 0.1668 0.1793 1
F1 0.2334 0.8025 0.8411 1
O4 0.6552 0.7138 0.6692 1
Fe3 0.0282 0.0223 0.3445 1
F2 0.7174 0.6913 0.3484 1
Mg1 0.5288 0.0511 0.6461 1
F3 0.1593 0.8450 0.1807 1
Fe4 0.0090 0.9588 0.6741 1
Fe5 0.5645 0.4014 0.1641 1
F4 0.8148 0.1700 0.5005 1
O5 0.7081 0.6717 0.0068 1
O6 0.3011 0.3004 0.6721 1
Fe6 0.4089 0.5594 0.4997 1
O7 0.3204 0.3252 0.3355 1
F5 0.7900 0.1562 0.8293 1
# Calculated formation energy = -2.030 eV/atom
# Final energy = -6.03 eV/atom


# GGA+U MgFe4O4F4, relaxed
data_MgFe4O4F4
_cell_length_a 5.3058
_cell_length_b 5.3738
_cell_length_c 5.9482
_cell_angle_alpha 91.04
_cell_angle_beta 91.94
_cell_angle_gamma 86.67
_symmetry_space_group_name_H-M 'P 1'
_symmetry_Int_Tables_number 1
loop_
_symmetry_equiv_pos_as_xyz
'x,y,z'
loop_
_atom_site_label
_atom_site_fract_x
_atom_site_fract_y
_atom_site_fract_z
_atom_site_occupancy
Fe1 0.4599 0.5538 0.7474 1
Fe2 0.1050 0.0649 0.5160 1
O1 0.2535 0.8629 0.7677 1
F1 0.7121 0.6454 0.5411 1
O2 0.6575 0.6706 0.0114 1
Fe3 0.9662 0.8498 0.9927 1
F2 0.3069 0.3371 0.9822 1
F3 0.7451 0.1470 0.2328 1
O3 0.2984 0.3540 0.5151 1
F4 0.8247 0.1280 0.7308 1
Mg1 0.4648 0.0069 0.0477 1
Fe4 0.4877 0.5157 0.2712 1
O4 0.2180 0.8778 0.2585 1
# Calculated formation energy = -2.134 eV/atom
# Final energy = -5.93 eV/atom


# GGA+U MgFe4O4F4, relaxed
data_MgFe4O4F4
_cell_length_a 6.6438
_cell_length_b 5.7044
_cell_length_c 5.4158
_cell_angle_alpha 93.50
_cell_angle_beta 62.37
_cell_angle_gamma 64.87
_symmetry_space_group_name_H-M 'P 1'
_symmetry_Int_Tables_number 1
loop_
_symmetry_equiv_pos_as_xyz
'x,y,z'
loop_
_atom_site_label
_atom_site_fract_x
_atom_site_fract_y
_atom_site_fract_z
_atom_site_occupancy
F1 0.5696 0.4550 0.5608 1
Fe1 0.7301 0.6797 0.3010 1
O1 0.5078 0.0637 0.2847 1
F2 0.9740 0.0125 0.4582 1
O2 0.0630 0.7105 0.9166 1
Fe2 0.1841 0.9321 0.0167 1
F3 0.4516 0.6358 0.0895 1
Mg1 0.7850 0.3673 0.7463 1
O3 0.9821 0.2792 0.9538 1
F4 0.9736 0.5249 0.4955 1
Fe3 0.7587 0.9056 0.8579 1
Fe4 0.3066 0.3077 0.6649 1
O4 0.4814 0.9844 0.7668 1
# Calculated formation energy = -2.102 eV/atom
# Final energy = -5.90 eV/atom


# GGA+U MgFe6O7F5, relaxed
data_MgFe6O7F5
_cell_length_a 5.1580
_cell_length_b 5.0648
_cell_length_c 8.9717
_cell_angle_alpha 90.33
_cell_angle_beta 87.59
_cell_angle_gamma 99.75
_symmetry_space_group_name_H-M 'P 1'
_symmetry_Int_Tables_number 1
loop_
_symmetry_equiv_pos_as_xyz
'x,y,z'
loop_
_atom_site_label
_atom_site_fract_x
_atom_site_fract_y
_atom_site_fract_z
_atom_site_occupancy
Fe1 0.0529 0.0274 0.3329 1
O1 0.8394 0.2202 0.1746 1
O2 0.1705 0.7833 0.4917 1
Fe2 0.0113 0.9830 0.6557 1
F1 0.1416 0.7807 0.1582 1
Mg1 0.0063 0.5100 0.3272 1
F2 0.8420 0.1627 0.8331 1
Fe3 0.5441 0.4009 0.1367 1
Fe4 0.9674 0.0040 0.0086 1
Fe5 0.4434 0.5593 0.5154 1
O3 0.6737 0.6936 0.0004 1
F3 0.7180 0.7162 0.3403 1
F4 0.1660 0.7864 0.8288 1
O4 0.3084 0.2600 0.9879 1
O5 0.6741 0.7238 0.6661 1
Fe6 0.4510 0.5352 0.8327 1
F5 0.8561 0.2275 0.4960 1
O6 0.3364 0.3522 0.3257 1
O7 0.2975 0.3013 0.6666 1
# Calculated formation energy = -2.012 eV/atom
# Final energy = -6.01 eV/atom


# GGA+U MgFe4O4F4, relaxed
data_MgFe4O4F4
_cell_length_a 5.7238
_cell_length_b 5.4921
_cell_length_c 5.3069
_cell_angle_alpha 90.61
_cell_angle_beta 90.46
_cell_angle_gamma 85.71
_symmetry_space_group_name_H-M 'P 1'
_symmetry_Int_Tables_number 1
loop_
_symmetry_equiv_pos_as_xyz
'x,y,z'
loop_
_atom_site_label
_atom_site_fract_x
_atom_site_fract_y
_atom_site_fract_z
_atom_site_occupancy
Fe1 0.2613 0.4206 0.5736 1
F1 0.7337 0.1070 0.7562 1
Mg1 0.9943 0.9996 0.5175 1
O1 0.7623 0.8622 0.2307 1
Fe2 0.7244 0.5747 0.4140 1
F2 0.2419 0.8869 0.2538 1
F3 0.4804 0.3666 0.2757 1
Fe3 0.9775 0.1026 0.0434 1
O2 0.9870 0.3360 0.3513 1
Fe4 0.4885 0.9000 0.9497 1
F4 0.0007 0.6777 0.6839 1
O3 0.2224 0.1423 0.7759 1
O4 0.5008 0.6240 0.6881 1
# Calculated formation energy = -2.146 eV/atom
# Final energy = -5.94 eV/atom


# GGA+U MgFe10O9F11, relaxed
data_MgFe10O9F11
_cell_length_a 4.9360
_cell_length_b 4.8733
_cell_length_c 15.4455
_cell_angle_alpha 90.00
_cell_angle_beta 90.00
_cell_angle_gamma 96.21
_symmetry_space_group_name_H-M 'P 1'
_symmetry_Int_Tables_number 1
loop_
_symmetry_equiv_pos_as_xyz
'x,y,z'
loop_
_atom_site_label
_atom_site_fract_x
_atom_site_fract_y
_atom_site_fract_z
_atom_site_occupancy
F1 0.1850 0.7871 0.2976 1
Mg1 0.5407 0.0249 0.7000 1
F2 0.8293 0.2095 0.4881 1
O1 0.6964 0.6916 0.3972 1
O2 0.1705 0.8459 0.7000 1
Fe1 0.0012 0.9809 0.3982 1
F3 0.6663 0.7813 0.7997 1
O3 0.3080 0.2812 0.2000 1
F4 0.8699 0.2673 0.7000 1
F5 0.8293 0.2095 0.9119 1
Fe2 0.4994 0.4737 0.4888 1
F6 0.1924 0.7631 0.9113 1
Fe3 0.2724 0.4774 0.7000 1
O4 0.3117 0.2718 0.0061 1
Fe4 0.0391 0.0048 0.5892 1
O5 0.3117 0.2718 0.3939 1
F7 0.8220 0.1789 0.1023 1
Fe5 0.4994 0.4737 0.9112 1
O6 0.3678 0.2856 0.8082 1
F8 0.1850 0.7871 0.1024 1
O7 0.7006 0.6901 0.2000 1
F9 0.1924 0.7631 0.4887 1
Fe6 0.0391 0.0048 0.8108 1
O8 0.3678 0.2856 0.5918 1
Fe7 0.0052 0.9861 0.2000 1
Fe8 0.0012 0.9809 0.0018 1
F10 0.8220 0.1789 0.2977 1
O9 0.6964 0.6916 0.0028 1
F11 0.6663 0.7813 0.6003 1
Fe9 0.5043 0.4866 0.2970 1
Fe10 0.5043 0.4866 0.1030 1
# Calculated formation energy = -2.083 eV/atom
# Final energy = -5.89 eV/atom


# GGA+U MgFe6O11F, relaxed
data_MgFe6O11F
_cell_length_a 4.8595
_cell_length_b 7.4555
_cell_length_c 5.5193
_cell_angle_alpha 95.12
_cell_angle_beta 91.52
_cell_angle_gamma 88.62
_symmetry_space_group_name_H-M 'P 1'
_symmetry_Int_Tables_number 1
loop_
_symmetry_equiv_pos_as_xyz
'x,y,z'
loop_
_atom_site_label
_atom_site_fract_x
_atom_site_fract_y
_atom_site_fract_z
_atom_site_occupancy
Fe1 0.4931 0.0090 0.4882 1
O1 0.1653 0.8862 0.6658 1
O2 0.2875 0.2359 0.5209 1
Fe2 0.0020 0.0218 0.9398 1
O3 0.1861 0.2412 0.0348 1
Fe3 0.9895 0.3177 0.3303 1
F1 0.1643 0.5688 0.3629 1
O4 0.8318 0.0928 0.2889 1
O5 0.6716 0.7546 0.4774 1
O6 0.3302 0.5617 0.8733 1
Fe4 0.9872 0.6369 0.7233 1
O7 0.6630 0.0962 0.7838 1
Fe5 0.5291 0.6565 0.1574 1
O8 0.3403 0.8995 0.1848 1
O9 0.8111 0.4126 0.6244 1
Fe6 0.4937 0.3285 0.8322 1
Mg1 0.0031 0.8382 0.3357 1
O10 0.7093 0.4218 0.1352 1
O11 0.8416 0.7700 0.0028 1
# Calculated formation energy = -1.588 eV/atom
# Final energy = -6.18 eV/atom


# GGA+U MgFe6O10F2, relaxed
data_MgFe6O10F2
_cell_length_a 5.1496
_cell_length_b 7.6536
_cell_length_c 5.7273
_cell_angle_alpha 98.15
_cell_angle_beta 99.38
_cell_angle_gamma 82.81
_symmetry_space_group_name_H-M 'P 1'
_symmetry_Int_Tables_number 1
loop_
_symmetry_equiv_pos_as_xyz
'x,y,z'
loop_
_atom_site_label
_atom_site_fract_x
_atom_site_fract_y
_atom_site_fract_z
_atom_site_occupancy
O1 0.8558 0.0912 0.2872 1
O2 0.3306 0.2393 0.5118 1
Fe1 0.5817 0.0281 0.4350 1
Mg1 0.4933 0.8347 0.8236 1
O3 0.6430 0.0745 0.8000 1
Fe2 0.4251 0.3093 0.8618 1
O4 0.3675 0.8956 0.1584 1
Fe3 0.0022 0.6575 0.6685 1
F1 0.1678 0.5800 0.3486 1
O5 0.6579 0.7595 0.5104 1
O6 0.3320 0.5792 0.8603 1
O7 0.1595 0.2397 0.0322 1
Fe4 0.0014 0.3223 0.3242 1
Fe5 0.0061 0.0128 0.9920 1
O8 0.1165 0.8824 0.6992 1
Fe6 0.4673 0.6437 0.2158 1
F2 0.8442 0.7522 0.9838 1
O9 0.6720 0.4196 0.1397 1
O10 0.8902 0.4365 0.6095 1
# Calculated formation energy = -1.746 eV/atom
# Final energy = -6.19 eV/atom


# GGA+U MgFe6O10F2, relaxed
data_MgFe6O10F2
_cell_length_a 5.0711
_cell_length_b 5.1161
_cell_length_c 8.8523
_cell_angle_alpha 89.62
_cell_angle_beta 90.37
_cell_angle_gamma 100.13
_symmetry_space_group_name_H-M 'P 1'
_symmetry_Int_Tables_number 1
loop_
_symmetry_equiv_pos_as_xyz
'x,y,z'
loop_
_atom_site_label
_atom_site_fract_x
_atom_site_fract_y
_atom_site_fract_z
_atom_site_occupancy
O1 0.2886 0.3179 0.3319 1
Fe1 0.0129 0.9829 0.3251 1
Fe2 0.0262 0.9718 0.6599 1
O2 0.2813 0.3256 0.6659 1
F1 0.8139 0.1455 0.8384 1
Fe3 0.4417 0.5605 0.4953 1
O3 0.1919 0.8183 0.4927 1
O4 0.8404 0.1200 0.1489 1
Fe4 0.4466 0.5411 0.8207 1
O5 0.2232 0.8342 0.8377 1
O6 0.3093 0.3115 0.9915 1
F2 0.8373 0.1427 0.4981 1
Fe5 0.0190 0.9528 0.0009 1
O7 0.6935 0.6851 0.3306 1
O8 0.6781 0.6880 0.9885 1
O9 0.2423 0.8326 0.1557 1
O10 0.6856 0.6920 0.6674 1
Fe6 0.4471 0.5401 0.1718 1
Mg1 0.5350 0.0374 0.0003 1
# Calculated formation energy = -1.712 eV/atom
# Final energy = -6.15 eV/atom